Below is an optimized crystal structure of Nd2ScSi2, with properties calculated at the meta-GGA r2SCAN level.

The structure in CIF format:
```
data_Nd2ScSi2
_chemical_formula_sum 'Nd4 Sc2 Si4'
_symmetry_space_group_name_H-M 'P 1'
_symmetry_Int_Tables_number 1
_cell_length_a 7.3913
_cell_length_b 7.3913
_cell_length_c 4.4316
_cell_angle_alpha 90.00
_cell_angle_beta 90.00
_cell_angle_gamma 90.00
loop_
_symmetry_equiv_pos_as_xyz
'x,y,z'
loop_
_atom_site_label
_atom_site_type_symbol
_atom_site_fract_x
_atom_site_fract_y
_atom_site_fract_z
Nd1 Nd 0.1773 0.3227 0.0000
Nd2 Nd 0.3227 0.8227 0.0000
Nd3 Nd 0.6773 0.1773 0.0000
Nd4 Nd 0.8227 0.6773 0.0000
Sc1 Sc 0.0000 0.0000 0.5000
Sc2 Sc 0.5000 0.5000 0.5000
Si1 Si 0.1176 0.6176 0.5000
Si2 Si 0.3824 0.1176 0.5000
Si3 Si 0.6176 0.8824 0.5000
Si4 Si 0.8824 0.3824 0.5000
```

## Properties
Formation energy from the elements, eV per atom: -0.773
Electronic total energy, eV/f.u.: -91.65
Crystal system: tetragonal